[1]
A relaxed structure of CaAl2Si3O13, computed with PBE.

## Properties
E ... -135.0 eV/f.u.
Relative energy among the computed polymorphs ... 70 meV/atom
Calculated formation energy ... -2.47 eV/atom
Magnetization ... 4.00 μB/cell
Symmetry ... No. 9

abc: 9.8638 9.8638 9.4731
angles: 84.72 84.72 140.50
Closest atoms and distances in Å follow each position.
Atoms (fractional coordinates):
Ca: 0.1202 0.9690 0.4478  3 O 2.19-2.43
Ca: 0.9690 0.1202 0.9478  3 O 2.19-2.43
Al: 0.1868 0.6316 0.4062  4 O 1.75-1.78
Al: 0.6316 0.1868 0.9062  4 O 1.75-1.78
Al: 0.3788 0.3181 0.0527  4 O 1.75-1.84
Al: 0.3181 0.3788 0.5527  4 O 1.75-1.84
Si: 0.6589 0.9045 0.4698  4 O 1.58-1.73
Si: 0.9045 0.6589 0.9698  4 O 1.58-1.73
Si: 0.1251 0.3115 0.2754  4 O 1.60-1.66
Si: 0.3115 0.1251 0.7754  4 O 1.60-1.66
Si: 0.2372 0.9075 0.1686  4 O 1.60-1.66
Si: 0.9075 0.2372 0.6686  4 O 1.60-1.66
O: 0.4317 0.9783 0.0676  1 Si 1.60, 1 Al 1.75
O: 0.9783 0.4317 0.5676  1 Si 1.60, 1 Al 1.75
O: 0.1655 0.7884 0.3412  1 Si 1.64, 1 Al 1.78
O: 0.7884 0.1655 0.8412  1 Si 1.64, 1 Al 1.78
O: 0.3018 0.1176 0.1847  1 Si 1.66, 1 Al 1.76
O: 0.1176 0.3018 0.6847  1 Si 1.66, 1 Al 1.76
O: 0.6765 0.5841 0.0124  1 O 1.48
O: 0.5841 0.6765 0.5124  1 O 1.48
O: 0.2081 0.3217 0.1115  1 Si 1.64, 1 Al 1.75
O: 0.3217 0.2081 0.6115  1 Si 1.64, 1 Al 1.75
O: 0.2326 0.2983 0.3909  1 Si 1.66, 1 Al 1.77
O: 0.2983 0.2326 0.8909  1 Si 1.66, 1 Al 1.77
O: 0.8567 0.0660 0.3195  2 Si 1.63-1.66
O: 0.0660 0.8567 0.8195  2 Si 1.63-1.66
O: 0.1691 0.5046 0.2776  1 Si 1.60, 1 Al 1.75
O: 0.5046 0.1691 0.7776  1 Si 1.60, 1 Al 1.75
O: 0.0151 0.7420 0.1063  2 Si 1.61-1.65
O: 0.7420 0.0151 0.6063  2 Si 1.61-1.65
O: 0.4374 0.8001 0.4517  1 Si 1.58, 1 Al 1.75
O: 0.8001 0.4374 0.9517  1 Si 1.58, 1 Al 1.75
O: 0.6054 0.2759 0.3956  1 O 1.23
O: 0.2759 0.6054 0.8956  1 O 1.23
O: 0.7286 0.7667 0.0312  1 O 1.48
O: 0.7667 0.7286 0.5312  1 O 1.48
O: 0.7104 0.2781 0.3113  1 O 1.23
O: 0.2781 0.7104 0.8113  1 O 1.23

=====

[2]
A relaxed structure of CaAl2Si4O15, computed with PBE.

## Properties
E ... -159.4 eV/f.u.
Calculated formation energy ... -2.45 eV/atom
Magnetization ... 0.00 μB/cell
Symmetry ... No. 2

abc: 7.6767 10.0963 10.1299
angles: 83.01 73.88 74.19
Closest atoms and distances in Å follow each position.
Atoms (fractional coordinates):
Ca: 0.7545 0.2588 0.2628  5 O 2.31-2.58
Ca: 0.2455 0.7412 0.7372  5 O 2.31-2.58
Al: 0.7367 0.1795 0.5716  4 O 1.73-1.80
Al: 0.7396 0.5693 0.1789  4 O 1.73-1.80
Al: 0.2633 0.8205 0.4284  4 O 1.73-1.80
Al: 0.2604 0.4307 0.8211  4 O 1.73-1.80
Si: 0.3311 0.3004 0.5346  4 O 1.60-1.65
Si: 0.3336 0.5333 0.2997  4 O 1.60-1.65
Si: 0.6689 0.6996 0.4654  4 O 1.60-1.65
Si: 0.6664 0.4667 0.7003  4 O 1.60-1.65
Si: 0.1594 0.1438 0.3784  4 O 1.61-1.65
Si: 0.1605 0.3778 0.1435  4 O 1.61-1.65
Si: 0.8406 0.8562 0.6216  4 O 1.61-1.65
Si: 0.8395 0.6222 0.8565  4 O 1.61-1.65
O: 0.2754 0.4473 0.4471  2 Si 1.65
O: 0.7246 0.5527 0.5529  2 Si 1.65
O: 0.7194 0.3039 0.6814  1 Si 1.60, 1 Al 1.73
O: 0.7254 0.6779 0.3032  1 Si 1.60, 1 Al 1.73
O: 0.2806 0.6961 0.3186  1 Si 1.60, 1 Al 1.73
O: 0.2746 0.3221 0.6968  1 Si 1.60, 1 Al 1.73
O: 0.9292 0.1731 0.4204  1 Si 1.65, 1 Al 1.80
O: 0.9307 0.4187 0.1741  1 Si 1.65, 1 Al 1.80
O: 0.0708 0.8269 0.5796  1 Si 1.65, 1 Al 1.80
O: 0.0693 0.5813 0.8259  1 Si 1.65, 1 Al 1.80
O: 0.2222 0.1944 0.5017  2 Si 1.64
O: 0.2251 0.5010 0.1937  2 Si 1.64
O: 0.7778 0.8056 0.4983  2 Si 1.64
O: 0.7749 0.4990 0.8063  2 Si 1.64
O: 0.2568 0.9838 0.3511  1 Si 1.61, 1 Al 1.73
O: 0.2582 0.3522 0.9833  1 Si 1.61, 1 Al 1.73
O: 0.7432 0.0162 0.6489  1 Si 1.61, 1 Al 1.73
O: 0.7418 0.6478 0.0167  1 Si 1.61, 1 Al 1.73
O: 0.2207 0.2346 0.2348  2 Si 1.65
O: 0.7793 0.7654 0.7652  2 Si 1.65
O: 0.5592 0.2354 0.4785  1 Si 1.65, 1 Al 1.80
O: 0.5618 0.4745 0.2353  1 Si 1.65, 1 Al 1.80
O: 0.4408 0.7646 0.5215  1 Si 1.65, 1 Al 1.80
O: 0.4382 0.5255 0.7647  1 Si 1.65, 1 Al 1.80
O: 0.9026 0.1570 0.0235  1 O 1.31
O: 0.0974 0.8430 0.9765  1 O 1.31
O: 0.3434 0.9157 0.8541  1 O 1.30
O: 0.2223 0.9105 0.9723  2 O 1.30-1.31
O: 0.6566 0.0843 0.1459  1 O 1.30
O: 0.7777 0.0895 0.0277  2 O 1.30-1.31

=====

[3]
A relaxed structure of CaAl2Si4O12, computed with PBE.

## Properties
E ... -142.6 eV/f.u.
Calculated formation energy ... -3.17 eV/atom
Magnetization ... 0.00 μB/cell
Symmetry ... No. 15

abc: 5.1179 5.1003 18.6950
angles: 87.42 84.85 59.89
Closest atoms and distances in Å follow each position.
Atoms (fractional coordinates):
Ca: 0.1001 0.7998 0.7500  6 O 2.57-2.66
Ca: 0.8999 0.2002 0.2500  6 O 2.57-2.66
Al: 0.2949 0.8533 0.9995  6 O 1.85-2.00
Al: 0.7051 0.1467 0.0005  6 O 1.85-2.00
Al: 0.8518 0.8533 0.5005  6 O 1.85-2.00
Al: 0.1482 0.1467 0.4995  6 O 1.85-2.00
Si: 0.7202 0.4691 0.8631  4 O 1.58-1.70
Si: 0.2798 0.5309 0.1369  4 O 1.58-1.70
Si: 0.8107 0.4691 0.6369  4 O 1.58-1.70
Si: 0.1893 0.5309 0.3631  4 O 1.58-1.70
Si: 0.4744 0.1385 0.6379  4 O 1.58-1.70
Si: 0.5256 0.8615 0.3621  4 O 1.58-1.70
Si: 0.3872 0.1385 0.8621  4 O 1.58-1.70
Si: 0.6128 0.8615 0.1379  4 O 1.58-1.70
O: 0.0425 0.9372 0.5682  2 Al 1.85
O: 0.9575 0.0628 0.4318  2 Al 1.85
O: 0.0204 0.9372 0.9318  2 Al 1.85
O: 0.9796 0.0628 0.0682  2 Al 1.85
O: 0.5489 0.3878 0.6726  2 Si 1.67
O: 0.4511 0.6122 0.3274  2 Si 1.67
O: 0.0634 0.3878 0.8274  2 Si 1.67
O: 0.9366 0.6122 0.1726  2 Si 1.67
O: 0.6231 0.2513 0.8208  2 Si 1.68-1.70
O: 0.3769 0.7487 0.1792  2 Si 1.68-1.70
O: 0.1255 0.2513 0.6792  2 Si 1.68-1.70
O: 0.8745 0.7487 0.3209  2 Si 1.68-1.70
O: 0.6390 0.5196 0.9469  1 Si 1.58
O: 0.3610 0.4804 0.0531  1 Si 1.58
O: 0.8414 0.5196 0.5531  1 Si 1.58
O: 0.1586 0.4804 0.4469  1 Si 1.58
O: 0.4606 0.1403 0.5537  1 Si 1.58
O: 0.5394 0.8597 0.4463  1 Si 1.58
O: 0.3991 0.1403 0.9463  1 Si 1.58
O: 0.6009 0.8597 0.0537  1 Si 1.58
O: 0.5058 0.8074 0.8223  2 Si 1.67-1.70
O: 0.4942 0.1926 0.1777  2 Si 1.67-1.70
O: 0.6868 0.8074 0.6777  2 Si 1.67-1.70
O: 0.3132 0.1926 0.3223  2 Si 1.67-1.70